# 1
Ti3TlSi2P6O25: optimized geometry, PBE.

Values from the calculation:
Total magnetic moment (μB/atom): 0.0292
ΔH_f (0 K) (eV/atom): -2.940
DFT total energy (eV per cell): -569.4

abc: 8.351 8.351 17.390
angles: 90.00 90.00 120.00
Sites, in units of the cell vectors:
Ti 0.333 0.667 0.024
Ti 0.333 0.667 0.476
Ti 0.333 0.667 0.750
Ti 0.667 0.333 0.250
Ti 0.667 0.333 0.524
Ti 0.667 0.333 0.976
Tl 0.333 0.667 0.250
Tl 0.667 0.333 0.750
Si 0.000 0.000 0.092
Si 0.000 0.000 0.408
Si 0.000 0.000 0.592
Si 0.000 0.000 0.908
P 0.050 0.383 0.890
P 0.050 0.668 0.610
P 0.332 0.383 0.610
P 0.332 0.950 0.890
P 0.383 0.050 0.390
P 0.383 0.332 0.110
P 0.617 0.668 0.890
P 0.617 0.950 0.610
P 0.668 0.050 0.110
P 0.668 0.617 0.390
P 0.950 0.332 0.390
P 0.950 0.617 0.110
O 0.000 0.000 0.000
O 0.000 0.000 0.500
O 0.029 0.196 0.375
O 0.029 0.833 0.125
O 0.118 0.522 0.408
O 0.118 0.596 0.092
O 0.136 0.475 0.814
O 0.136 0.661 0.686
O 0.167 0.196 0.125
O 0.167 0.971 0.375
O 0.189 0.444 0.957
O 0.189 0.745 0.543
O 0.196 0.029 0.875
O 0.196 0.167 0.625
O 0.255 0.444 0.543
O 0.255 0.811 0.957
O 0.339 0.475 0.686
O 0.339 0.864 0.814
O 0.404 0.522 0.092
O 0.404 0.882 0.408
O 0.444 0.189 0.457
O 0.444 0.255 0.043
O 0.475 0.136 0.314
O 0.475 0.339 0.186
O 0.478 0.596 0.408
O 0.478 0.882 0.092
O 0.522 0.118 0.908
O 0.522 0.404 0.592
O 0.525 0.661 0.814
O 0.525 0.864 0.686
O 0.556 0.745 0.957
O 0.556 0.811 0.543
O 0.596 0.118 0.592
O 0.596 0.478 0.908
O 0.661 0.136 0.186
O 0.661 0.525 0.314
O 0.745 0.189 0.043
O 0.745 0.556 0.457
O 0.804 0.833 0.375
O 0.804 0.971 0.125
O 0.811 0.255 0.457
O 0.811 0.556 0.043
O 0.833 0.029 0.625
O 0.833 0.804 0.875
O 0.864 0.339 0.314
O 0.864 0.525 0.186
O 0.882 0.404 0.908
O 0.882 0.478 0.592
O 0.971 0.167 0.875
O 0.971 0.804 0.625

# 2
Y2SiP4O15: optimized geometry, PBE.

Values from the calculation:
Largest piezoelectric modulus (C/m2): 0.04
Total magnetic moment (μB/atom): 0.0000
ΔH_f (0 K) (eV/atom): -3.183
DFT total energy (eV per cell): -347.9

abc: 7.089 16.564 5.593
angles: 90.00 90.00 90.00
Sites, in units of the cell vectors:
Y 0.094 0.218 0.365
Y 0.406 0.718 0.635
Y 0.594 0.282 0.635
Y 0.906 0.782 0.365
Si 0.000 0.500 0.959
Si 0.500 0.000 0.041
P 0.089 0.331 0.808
P 0.137 0.074 0.857
P 0.363 0.574 0.143
P 0.411 0.831 0.192
P 0.589 0.169 0.192
P 0.637 0.426 0.143
P 0.863 0.926 0.857
P 0.911 0.669 0.808
O 0.000 0.000 0.890
O 0.074 0.427 0.783
O 0.077 0.706 0.665
O 0.090 0.311 0.072
O 0.108 0.113 0.619
O 0.114 0.126 0.075
O 0.163 0.531 0.143
O 0.235 0.803 0.334
O 0.265 0.303 0.666
O 0.337 0.031 0.857
O 0.386 0.626 0.925
O 0.392 0.613 0.381
O 0.410 0.811 0.928
O 0.423 0.206 0.335
O 0.426 0.927 0.217
O 0.500 0.500 0.110
O 0.574 0.073 0.217
O 0.577 0.794 0.335
O 0.590 0.189 0.928
O 0.608 0.387 0.381
O 0.614 0.374 0.925
O 0.663 0.969 0.857
O 0.735 0.697 0.666
O 0.765 0.197 0.334
O 0.837 0.469 0.143
O 0.886 0.874 0.075
O 0.892 0.887 0.619
O 0.910 0.689 0.072
O 0.923 0.294 0.665
O 0.926 0.573 0.783

# 3
YZr5Si5PO24: optimized geometry, PBE.

Values from the calculation:
Total magnetic moment (μB/atom): 0.0002
ΔH_f (0 K) (eV/atom): -3.532
DFT total energy (eV per cell): -622.4

abc: 5.650 5.650 28.773
angles: 90.00 90.00 115.60
Sites, in units of the cell vectors:
Y 0.000 0.500 0.086
Y 0.500 0.000 0.914
Zr 0.000 0.000 0.171
Zr 0.000 0.000 0.500
Zr 0.000 0.000 0.829
Zr 0.000 0.500 0.418
Zr 0.000 0.500 0.747
Zr 0.500 0.000 0.253
Zr 0.500 0.000 0.582
Zr 0.500 0.500 0.000
Zr 0.500 0.500 0.335
Zr 0.500 0.500 0.665
Si 0.000 0.000 0.000
Si 0.000 0.000 0.335
Si 0.000 0.000 0.665
Si 0.000 0.500 0.253
Si 0.000 0.500 0.582
Si 0.500 0.000 0.418
Si 0.500 0.000 0.747
Si 0.500 0.500 0.172
Si 0.500 0.500 0.500
Si 0.500 0.500 0.828
P 0.000 0.500 0.915
P 0.500 0.000 0.085
O 0.068 0.748 0.885
O 0.089 0.271 0.695
O 0.089 0.272 0.366
O 0.089 0.771 0.552
O 0.089 0.772 0.223
O 0.097 0.275 0.030
O 0.226 0.400 0.142
O 0.227 0.414 0.798
O 0.228 0.411 0.470
O 0.228 0.911 0.777
O 0.229 0.911 0.448
O 0.250 0.570 0.945
O 0.252 0.932 0.115
O 0.271 0.089 0.305
O 0.271 0.588 0.283
O 0.271 0.589 0.613
O 0.272 0.089 0.634
O 0.275 0.097 0.970
O 0.400 0.226 0.858
O 0.411 0.228 0.530
O 0.411 0.729 0.387
O 0.412 0.729 0.717
O 0.414 0.227 0.202
O 0.430 0.750 0.055
O 0.570 0.250 0.055
O 0.586 0.773 0.202
O 0.588 0.271 0.717
O 0.589 0.271 0.387
O 0.589 0.772 0.530
O 0.600 0.774 0.858
O 0.725 0.903 0.970
O 0.728 0.911 0.634
O 0.729 0.411 0.613
O 0.729 0.412 0.283
O 0.729 0.911 0.305
O 0.748 0.068 0.115
O 0.750 0.430 0.945
O 0.771 0.089 0.448
O 0.772 0.089 0.777
O 0.772 0.589 0.470
O 0.773 0.586 0.798
O 0.774 0.600 0.142
O 0.903 0.725 0.030
O 0.911 0.228 0.223
O 0.911 0.229 0.552
O 0.911 0.728 0.366
O 0.911 0.729 0.695
O 0.932 0.252 0.885